Entry 1:
# GGA-PBE MnGa2Te4, relaxed
# theoretical density	5.59	g cm⁻³
# magnetic moment	4.947	μB/f.u.
# calculated volume	29.92	Å³/atom
# energy relative to the elements	-48	kJ/mol of atoms
data_MnGa2Te4
_chemical_formula_sum 'Mn4 Ga8 Te16'
_symmetry_space_group_name_H-M 'P n m a'
_symmetry_Int_Tables_number 62
_symmetry_space_group_name_Hall '-P 2ac 2n'
_cell_length_a 27.801
_cell_length_b 4.261
_cell_length_c 7.073
_cell_angle_alpha 90.00
_cell_angle_beta 90.00
_cell_angle_gamma 90.00
loop_
_atom_site_label
_atom_site_type_symbol
_atom_site_fract_x
_atom_site_fract_y
_atom_site_fract_z
Mn1 Mn 0.190 0.250 0.148
Ga1 Ga 0.047 0.750 0.926
Ga2 Ga 0.150 0.750 0.546
Te1 Te 0.006 0.250 0.751
Te2 Te 0.107 0.250 0.388
Te3 Te 0.143 0.750 0.924
Te4 Te 0.234 0.750 0.364

=====

Entry 2:
# GGA-PBE CeAsRuO, relaxed
# theoretical density	8.09	g cm⁻³
# magnetic moment	0.720	μB/f.u.
# calculated volume	17.05	Å³/atom
# energy relative to the elements	-198	kJ/mol of atoms
data_CeAsRuO
_chemical_formula_sum 'Ce2 As2 Ru2 O2'
_symmetry_space_group_name_H-M 'P 4/n m m'
_symmetry_Int_Tables_number 129
_cell_length_a 4.106
_cell_length_b 4.106
_cell_length_c 8.090
_cell_angle_alpha 90.00
_cell_angle_beta 90.00
_cell_angle_gamma 90.00
loop_
_symmetry_equiv_pos_as_xyz
'x,y,z'
'-x,-y,-z'
'-y+1/2,x,z'
'y+1/2,-x,-z'
'-x+1/2,-y+1/2,z'
'x+1/2,y+1/2,-z'
'y,-x+1/2,z'
'-y,x+1/2,-z'
'x+1/2,-y,-z'
'-x+1/2,y,z'
'-y,-x,-z'
'y,x,z'
'-x,y+1/2,-z'
'x,-y+1/2,z'
'y+1/2,x+1/2,-z'
'-y+1/2,-x+1/2,z'
loop_
_atom_site_label
_atom_site_type_symbol
_atom_site_fract_x
_atom_site_fract_y
_atom_site_fract_z
Ce1 Ce 0.250 0.250 0.145
As1 As 0.250 0.250 0.661
Ru1 Ru 0.250 0.750 0.500
O1 O 0.250 0.750 0.000